Computed, not measured: a relaxed Ge7H18O23 crystal at the PBE level of DFT.

Calculated values
The formation energy comes out at -1.56 eV per atom. The calculation puts the calculated total energy at -5.546 eV/atom. The value obtained for the total magnetization is 0.00 μB/f.u.

Cell lengths 7.716, 7.766, 7.954 Å; angles 88.06, 89.58, 89.43 degrees
Fractional positions:
Ge 0.000 0.000 0.000
Ge 0.005 0.278 0.727
Ge 0.354 0.150 0.864
Ge 0.724 0.282 0.985
Ge 0.743 0.014 0.719
Ge 0.853 0.140 0.341
Ge 0.862 0.651 0.853
H 0.025 0.719 0.416
H 0.067 0.618 0.609
H 0.082 0.342 0.396
H 0.143 0.503 0.141
H 0.229 0.666 0.458
H 0.284 0.055 0.400
H 0.288 0.695 0.907
H 0.307 0.393 0.179
H 0.418 0.468 0.561
H 0.445 0.938 0.282
H 0.446 0.702 0.258
H 0.458 0.873 0.788
H 0.479 0.613 0.905
H 0.493 0.079 0.433
H 0.518 0.636 0.588
H 0.629 0.781 0.283
H 0.784 0.563 0.412
H 0.835 0.608 0.227
O 0.003 0.758 0.987
O 0.120 0.717 0.502
O 0.220 0.467 0.232
O 0.236 0.007 0.992
O 0.244 0.276 0.708
O 0.395 0.687 0.842
O 0.399 0.067 0.347
O 0.461 0.571 0.501
O 0.484 0.280 0.983
O 0.487 0.997 0.744
O 0.514 0.805 0.228
O 0.710 0.041 0.486
O 0.721 0.522 0.975
O 0.731 0.284 0.217
O 0.740 0.778 0.710
O 0.748 0.265 0.736
O 0.753 0.024 0.969
O 0.826 0.658 0.338
O 0.984 0.265 0.966
O 0.988 0.032 0.731
O 0.994 0.003 0.235
O 0.994 0.279 0.467
O 0.996 0.523 0.715

***

Computed, not measured: a relaxed Ge7H18O23 crystal at the PBE level of DFT.

Calculated values
The formation energy comes out at -1.56 eV per atom. The calculation puts the calculated total energy at -5.547 eV/atom. The value obtained for the total magnetization is 0.00 μB/f.u.

Cell lengths 7.714, 7.833, 7.837 Å; angles 90.32, 90.52, 92.90 degrees
Fractional positions:
Ge 0.000 0.000 0.000
Ge 0.004 0.260 0.725
Ge 0.135 0.126 0.370
Ge 0.148 0.614 0.867
Ge 0.269 0.985 0.719
Ge 0.290 0.262 0.987
Ge 0.639 0.116 0.865
H 0.120 0.599 0.459
H 0.243 0.400 0.278
H 0.265 0.699 0.350
H 0.396 0.547 0.513
H 0.494 0.383 0.575
H 0.520 0.838 0.164
H 0.531 0.579 0.901
H 0.570 0.570 0.679
H 0.600 0.997 0.378
H 0.604 0.735 0.310
H 0.643 0.742 0.835
H 0.712 0.139 0.522
H 0.717 0.438 0.112
H 0.792 0.082 0.331
H 0.812 0.506 0.280
H 0.869 0.762 0.583
H 0.896 0.825 0.397
H 0.921 0.668 0.067
O 0.005 0.493 0.736
O 0.014 0.264 0.490
O 0.019 0.741 0.014
O 0.021 0.245 0.972
O 0.023 0.999 0.749
O 0.225 0.585 0.390
O 0.249 0.019 0.002
O 0.262 0.753 0.734
O 0.266 0.991 0.482
O 0.267 0.238 0.743
O 0.267 0.280 0.241
O 0.302 0.501 0.986
O 0.505 0.983 0.736
O 0.513 0.505 0.552
O 0.517 0.820 0.288
O 0.532 0.258 0.000
O 0.626 0.617 0.822
O 0.682 0.103 0.396
O 0.761 0.968 0.983
O 0.762 0.225 0.704
O 0.775 0.539 0.166
O 0.844 0.731 0.465
O 0.978 0.010 0.242

***

Computed, not measured: a relaxed Ge7H4O22 crystal at the PBE level of DFT.

Calculated values
The formation energy comes out at -1.13 eV per atom. The calculation puts the calculated total energy at -5.362 eV/atom. The value obtained for the total magnetization is 6.00 μB/f.u.

Cell lengths 7.905, 7.905, 7.905 Å; angles 89.70, 89.70, 89.70 degrees
Fractional positions:
Ge 0.000 0.000 0.000
Ge 0.143 0.143 0.639
Ge 0.143 0.639 0.143
Ge 0.292 0.292 0.985
Ge 0.292 0.985 0.292
Ge 0.639 0.143 0.143
Ge 0.985 0.292 0.292
H 0.323 0.945 0.945
H 0.325 0.325 0.325
H 0.945 0.323 0.945
H 0.945 0.945 0.323
O 0.009 0.272 0.517
O 0.009 0.517 0.272
O 0.012 0.012 0.769
O 0.012 0.769 0.012
O 0.029 0.029 0.255
O 0.029 0.255 0.029
O 0.169 0.741 0.741
O 0.254 0.254 0.254
O 0.255 0.029 0.029
O 0.272 0.009 0.517
O 0.272 0.517 0.009
O 0.273 0.273 0.761
O 0.273 0.761 0.273
O 0.397 0.824 0.824
O 0.517 0.009 0.272
O 0.517 0.272 0.009
O 0.741 0.169 0.741
O 0.741 0.741 0.169
O 0.761 0.273 0.273
O 0.769 0.012 0.012
O 0.824 0.397 0.824
O 0.824 0.824 0.397

***

Computed, not measured: a relaxed Ge7H18O23 crystal at the PBE level of DFT.

Calculated values
The formation energy comes out at -1.54 eV per atom. The calculation puts the calculated total energy at -5.526 eV/atom. The value obtained for the total magnetization is 0.00 μB/f.u.

Cell lengths 7.669, 7.766, 7.953 Å; angles 90.07, 91.04, 90.25 degrees
Fractional positions:
Ge 0.000 0.000 0.000
Ge 0.000 0.283 0.747
Ge 0.136 0.631 0.878
Ge 0.138 0.130 0.354
Ge 0.269 0.020 0.730
Ge 0.280 0.276 0.013
Ge 0.636 0.140 0.863
H 0.168 0.766 0.438
H 0.179 0.561 0.400
H 0.339 0.731 0.293
H 0.412 0.737 0.789
H 0.484 0.907 0.324
H 0.500 0.508 0.453
H 0.540 0.290 0.432
H 0.566 0.746 0.230
H 0.590 0.402 0.606
H 0.612 0.562 0.902
H 0.661 0.825 0.592
H 0.669 0.137 0.259
H 0.686 0.755 0.900
H 0.703 0.094 0.451
H 0.760 0.414 0.143
H 0.807 0.695 0.562
H 0.874 0.575 0.184
H 0.924 0.348 0.422
O 0.002 0.271 0.487
O 0.002 0.761 0.998
O 0.012 0.520 0.724
O 0.016 0.260 0.985
O 0.018 0.025 0.749
O 0.196 0.677 0.354
O 0.246 0.990 0.495
O 0.251 0.264 0.750
O 0.257 0.028 0.981
O 0.276 0.271 0.248
O 0.276 0.513 0.009
O 0.286 0.763 0.751
O 0.458 0.809 0.246
O 0.502 0.397 0.511
O 0.509 0.017 0.719
O 0.524 0.276 0.003
O 0.606 0.672 0.844
O 0.614 0.133 0.370
O 0.712 0.756 0.503
O 0.757 0.279 0.728
O 0.758 0.995 0.987
O 0.790 0.495 0.233
O 0.991 0.011 0.233

***

Computed, not measured: a relaxed Ge7H18O23 crystal at the PBE level of DFT.

Calculated values
The formation energy comes out at -1.58 eV per atom. The calculation puts the calculated total energy at -5.565 eV/atom. The value obtained for the total magnetization is 0.00 μB/f.u.

Cell lengths 7.793, 7.825, 7.887 Å; angles 89.71, 89.64, 87.29 degrees
Fractional positions:
Ge 0.000 0.000 0.000
Ge 0.000 0.251 0.280
Ge 0.362 0.108 0.134
Ge 0.714 0.259 0.019
Ge 0.732 0.980 0.282
Ge 0.850 0.126 0.632
Ge 0.869 0.609 0.143
H 0.024 0.802 0.638
H 0.040 0.687 0.470
H 0.105 0.676 0.956
H 0.184 0.059 0.662
H 0.189 0.546 0.731
H 0.274 0.126 0.472
H 0.306 0.449 0.875
H 0.374 0.975 0.611
H 0.386 0.717 0.781
H 0.453 0.557 0.303
H 0.453 0.764 0.210
H 0.495 0.871 0.836
H 0.522 0.595 0.107
H 0.573 0.360 0.364
H 0.588 0.510 0.495
H 0.641 0.664 0.697
H 0.730 0.405 0.728
H 0.832 0.617 0.622
O 0.003 0.003 0.756
O 0.014 0.484 0.262
O 0.033 0.683 0.594
O 0.236 0.985 0.999
O 0.238 0.208 0.300
O 0.253 0.560 0.837
O 0.295 0.079 0.597
O 0.425 0.641 0.183
O 0.469 0.801 0.738
O 0.475 0.257 0.011
O 0.497 0.960 0.248
O 0.503 0.454 0.421
O 0.711 0.501 0.029
O 0.717 0.570 0.649
O 0.717 0.996 0.518
O 0.728 0.233 0.260
O 0.730 0.274 0.772
O 0.754 0.010 0.010
O 0.760 0.747 0.282
O 0.974 0.244 0.030
O 0.975 0.261 0.511
O 0.978 0.002 0.254
O 0.997 0.740 0.998

***

Computed, not measured: a relaxed SrGeH2O4 crystal at the PBE level of DFT.

Calculated values
For the piezoelectric modulus e_max, the calculation gives 0.02 C/m². The formation energy comes out at -2.19 eV per atom. The calculation puts the calculated total energy at -5.958 eV/atom. The value obtained for the total magnetization is 0.00 μB/f.u.

Cell lengths 6.256, 6.256, 6.256 Å; angles 107.19, 107.19, 114.14 degrees
Fractional positions:
Sr 0.000 0.000 0.000
Sr 0.750 0.250 0.500
Ge 0.250 0.750 0.500
Ge 0.500 0.500 0.000
H 0.203 0.125 0.578
H 0.375 0.797 0.922
H 0.547 0.625 0.422
H 0.875 0.453 0.078
O 0.004 0.422 0.242
O 0.172 0.254 0.742
O 0.181 0.763 0.758
O 0.237 0.996 0.418
O 0.513 0.431 0.258
O 0.569 0.828 0.082
O 0.578 0.819 0.582
O 0.746 0.487 0.918